No. 1
A geometry-optimized Mg2Ag structure. Source: the Materials Project database, functional PBE.

Structure (POSCAR):
```
Mg2Ag
1.0
-5.345 1.388 1.075
4.172 -1.013 3.635
1.202 4.685 -0.073
Mg Ag
4 2
direct
0.118 0.427 0.750 Mg
0.427 0.118 0.750 Mg
0.573 0.882 0.250 Mg
0.882 0.573 0.250 Mg
0.779 0.779 0.750 Ag
0.221 0.221 0.250 Ag
```

Values from the calculation:
Total DFT energy (no corrections) in eV/atom: -2.173
Space-group type: Cmcm, No. 63
Formation energy in eV per atom: -0.162

---

No. 2
A geometry-optimized Cs3BS3 structure. Source: the Materials Project database, functional PBE.

Structure (POSCAR):
```
Cs3BS3
1.0
6.743 0.000 0.000
0.000 10.865 0.000
0.000 3.082 13.495
Cs B S
12 4 12
direct
0.852 0.254 0.009 Cs
0.948 0.597 0.302 Cs
0.286 0.032 0.142 Cs
0.448 0.403 0.198 Cs
0.786 0.968 0.358 Cs
0.052 0.403 0.698 Cs
0.352 0.746 0.491 Cs
0.648 0.254 0.509 Cs
0.214 0.032 0.642 Cs
0.148 0.746 0.991 Cs
0.714 0.968 0.858 Cs
0.552 0.597 0.802 Cs
0.127 0.235 0.374 B
0.627 0.765 0.126 B
0.873 0.765 0.626 B
0.373 0.235 0.874 B
0.713 0.904 0.619 S
0.287 0.096 0.381 S
0.443 0.721 0.227 S
0.787 0.904 0.119 S
0.057 0.721 0.727 S
0.345 0.334 0.965 S
0.943 0.279 0.273 S
0.845 0.666 0.535 S
0.655 0.666 0.035 S
0.557 0.279 0.773 S
0.213 0.096 0.881 S
0.155 0.334 0.465 S
```

Values from the calculation:
Total DFT energy (no corrections) in eV/atom: -4.148
Space-group type: P2_1/c, No. 14
E (MP2020) in eV/atom: -4.363
Formation energy in eV per atom: -1.252

---

No. 3
A geometry-optimized NdZnSn structure. Source: the Materials Project database, functional PBE.

Structure (POSCAR):
```
NdZnSn
1.0
2.430 -4.208 0.000
2.430 4.208 0.000
0.000 0.000 7.420
Sn Nd Zn
2 2 2
direct
0.333 0.667 0.468 Sn
0.667 0.333 0.532 Sn
0.000 0.000 0.767 Nd
0.000 0.000 0.233 Nd
0.333 0.667 0.006 Zn
0.667 0.333 0.994 Zn
```

Values from the calculation:
Total DFT energy (no corrections) in eV/atom: -3.758
Space-group type: P-3m1, No. 164
Formation energy in eV per atom: -0.412

---

Please write out number 3 again, unchanged.
A geometry-optimized NdZnSn structure. Source: the Materials Project database, functional PBE.

Structure (POSCAR):
```
NdZnSn
1.0
2.430 -4.208 0.000
2.430 4.208 0.000
0.000 0.000 7.420
Sn Nd Zn
2 2 2
direct
0.333 0.667 0.468 Sn
0.667 0.333 0.532 Sn
0.000 0.000 0.767 Nd
0.000 0.000 0.233 Nd
0.333 0.667 0.006 Zn
0.667 0.333 0.994 Zn
```

Values from the calculation:
Total DFT energy (no corrections) in eV/atom: -3.758
Space-group type: P-3m1, No. 164
Formation energy in eV per atom: -0.412

---

Copy entry 2 word for word.
A geometry-optimized Cs3BS3 structure. Source: the Materials Project database, functional PBE.

Structure (POSCAR):
```
Cs3BS3
1.0
6.743 0.000 0.000
0.000 10.865 0.000
0.000 3.082 13.495
Cs B S
12 4 12
direct
0.852 0.254 0.009 Cs
0.948 0.597 0.302 Cs
0.286 0.032 0.142 Cs
0.448 0.403 0.198 Cs
0.786 0.968 0.358 Cs
0.052 0.403 0.698 Cs
0.352 0.746 0.491 Cs
0.648 0.254 0.509 Cs
0.214 0.032 0.642 Cs
0.148 0.746 0.991 Cs
0.714 0.968 0.858 Cs
0.552 0.597 0.802 Cs
0.127 0.235 0.374 B
0.627 0.765 0.126 B
0.873 0.765 0.626 B
0.373 0.235 0.874 B
0.713 0.904 0.619 S
0.287 0.096 0.381 S
0.443 0.721 0.227 S
0.787 0.904 0.119 S
0.057 0.721 0.727 S
0.345 0.334 0.965 S
0.943 0.279 0.273 S
0.845 0.666 0.535 S
0.655 0.666 0.035 S
0.557 0.279 0.773 S
0.213 0.096 0.881 S
0.155 0.334 0.465 S
```

Values from the calculation:
Total DFT energy (no corrections) in eV/atom: -4.148
Space-group type: P2_1/c, No. 14
E (MP2020) in eV/atom: -4.363
Formation energy in eV per atom: -1.252

---

- The lowest total DFT energy (no corrections) belongs to which entry?
  Cs3BS3

---

- The highest formation energy belongs to which entry?
  Mg2Ag